Here is crystalline Li7Mn2Co3O12 at its relaxed geometry from the Materials Project. Energies are from GGA+U.

Cell and atoms, written as POSCAR:
```
Li7Mn2Co3O12
1.0
4.8951 -1.4615 0.0000
4.8951 1.4615 0.0000
-2.6656 0.0000 15.0584
Li Mn Co O
7 2 3 12
Cartesian
0.0000 0.0000 0.0000
1.7502 0.0000 3.7293
0.8931 0.0000 8.7876
-0.0049 0.0000 13.9047
7.1295 0.0000 1.1537
6.2316 0.0000 6.2708
5.3744 0.0000 11.3291
4.4175 0.0000 2.4169
2.7071 0.0000 12.6415
-1.7726 0.0000 10.0491
3.5623 0.0000 7.5292
8.8972 0.0000 5.0092
0.7098 0.0000 1.9807
-1.0213 0.0000 11.9537
-0.0999 0.0000 6.9015
3.5942 0.0000 0.8039
2.7558 0.0000 5.6282
1.9294 0.0000 10.7192
5.1953 0.0000 4.3391
4.3689 0.0000 9.4301
3.5304 0.0000 14.2545
7.2245 0.0000 8.1569
8.1459 0.0000 3.1047
6.4148 0.0000 13.0776
```

magnetization: 6.0 μB/f.u.
crystal system: monoclinic
ΔH_f (0 K): -45.65 eV per formula unit
ΔE to the lowest computed polymorph: 31 meV/atom
space-group type: C2/m, No. 12

Here is crystalline Li7Mn2Co3O12 at its relaxed geometry from the Materials Project. Energies are from GGA+U.

Cell and atoms, written as POSCAR:
```
Li7Mn2Co3O12
1.0
3.0248 0.0000 0.0000
-1.4778 6.2224 0.0000
-1.0406 -3.0055 11.5956
Li Mn Co O
7 2 3 12
Cartesian
0.0000 0.0000 0.0000
-0.2543 -0.7108 2.8850
-0.5911 2.4177 6.7682
-0.0577 3.9156 0.9378
0.5641 -0.6987 10.6577
1.0975 0.7992 4.8274
0.7607 3.9278 8.7106
-0.3184 3.1315 3.8519
0.8248 0.0855 7.7437
-0.5203 -1.5027 5.7978
-0.8639 1.7117 9.7635
1.3703 1.5052 1.8321
-0.3580 1.2860 3.3093
-0.8729 -0.1590 9.1752
-0.4864 0.3524 6.3000
0.0171 1.9156 0.6039
0.7950 -1.7845 7.1838
-0.8501 3.4209 10.0671
1.3565 -0.2040 1.5285
-0.2886 5.0014 4.4118
0.4893 1.3013 10.9917
0.9929 2.8645 5.2955
1.3793 3.3759 2.4203
0.8644 1.9309 8.2862
```

magnetization: 14.0 μB/f.u.
crystal system: triclinic
ΔH_f (0 K): -43.91 eV per formula unit
ΔE to the lowest computed polymorph: 104 meV/atom
space-group type: P-1, No. 2

Here is crystalline Li7Mn4CoO12 at its relaxed geometry from the Materials Project. Energies are from GGA+U.

Cell and atoms, written as POSCAR:
```
Li7Mn4CoO12
1.0
2.8684 0.0000 0.0000
-1.4144 4.8742 0.0000
-0.0660 -2.1613 15.6174
Li Mn Co O
7 4 1 12
Cartesian
0.0000 0.0000 0.0000
-0.0025 1.7609 3.7155
-0.0333 1.1722 9.0761
-0.0589 0.5094 14.4877
1.4469 2.2035 1.1297
1.4213 1.5407 6.5413
1.3905 0.9520 11.9019
-0.0506 -1.3412 10.4862
0.0113 4.3546 2.4018
1.3768 -1.6417 13.2156
1.4386 4.0541 5.1312
1.4012 -1.0806 7.8087
-0.0082 0.6943 1.9876
0.0027 0.0847 7.2355
-0.0570 -0.4846 12.5225
0.0132 3.5665 0.7776
0.0013 2.8877 5.7852
-0.0385 2.3806 11.1814
1.4265 0.3323 4.4360
1.3867 -0.1748 9.8322
1.3748 -0.8536 14.8398
1.4451 3.1975 3.0949
1.3853 2.6282 8.3819
1.3962 2.0186 13.6298
```

magnetization: 11.9 μB/f.u.
crystal system: triclinic
ΔH_f (0 K): -49.07 eV per formula unit
ΔE to the lowest computed polymorph: 40 meV/atom
space-group type: P-1, No. 2

Here is crystalline Li7Mn4CoO12 at its relaxed geometry from the Materials Project. Energies are from GGA+U.

Cell and atoms, written as POSCAR:
```
Li7Mn4CoO12
1.0
5.9205 0.0000 0.0000
1.7896 7.5613 0.0000
2.7157 3.0455 9.7068
Li Mn Co O
14 8 2 24
Cartesian
1.4951 3.2632 2.4857
2.7752 2.3529 7.3310
3.1390 5.8631 2.3651
4.1961 3.0447 9.7027
4.3296 4.7531 7.3515
4.6433 8.2254 2.3685
5.9000 7.3131 7.2476
4.5258 3.2937 2.4593
5.7824 2.3813 7.3384
6.0962 5.8537 2.3553
6.2297 7.5621 0.0041
7.2868 4.7436 7.3418
7.6506 8.2539 2.3758
8.9306 7.3436 7.2211
1.6676 5.1089 0.0380
2.9066 4.0139 4.8950
4.5314 6.5823 4.8277
5.7985 5.4984 9.6739
4.6273 5.1083 0.0329
5.8944 4.0244 4.8792
7.5192 6.5929 4.8119
8.7582 5.4978 9.6689
1.3579 1.5227 4.8534
4.3181 1.5227 4.8534
2.8207 4.0596 8.5645
2.8496 5.6579 5.9879
3.2504 7.5212 3.6878
1.5949 1.8043 1.0538
4.3385 6.4048 8.6789
4.4783 8.1729 5.9646
2.8518 2.3468 3.8370
3.1303 4.2005 1.0293
5.8698 8.7987 8.6492
4.2145 3.0498 5.9959
4.6041 4.9376 3.7220
4.6459 6.5462 1.1399
5.7799 4.0605 8.5669
5.8216 5.6692 5.9848
6.2113 7.5570 3.7109
4.5560 1.8080 1.0577
7.2955 6.4063 8.6775
7.5740 8.2599 5.8698
5.9475 2.4339 3.7422
6.0872 4.2019 1.0279
8.8308 8.8025 8.6531
7.1754 3.0856 6.0191
7.5761 4.9489 3.7189
7.6051 6.5471 1.1423
```

magnetization: 0.0 μB/f.u.
crystal system: triclinic
ΔH_f (0 K): -49.06 eV per formula unit
ΔE to the lowest computed polymorph: 40 meV/atom
space-group type: P-1, No. 2

Here is crystalline Li2MnCoO4 at its relaxed geometry from the Materials Project. Energies are from GGA+U.

Cell and atoms, written as POSCAR:
```
Li2MnCoO4
1.0
5.1311 0.0000 0.0000
0.0000 5.9568 0.0000
-1.6697 0.0000 4.7764
Li Mn Co O
4 2 2 8
Cartesian
-0.4174 0.7270 1.1941
-1.2523 2.2038 3.5823
-0.4174 3.7530 1.1941
-1.2523 5.2298 3.5823
2.1481 2.2319 1.1941
1.3133 3.7249 3.5823
1.3133 0.7047 3.5823
2.1481 5.2521 1.1941
1.3302 0.8744 0.0993
0.4953 5.0824 2.4875
0.6034 2.3265 2.3778
-0.2315 3.6302 4.7660
3.6929 2.3265 0.0105
2.8580 3.6302 2.3987
2.9661 0.8744 2.2889
2.1312 5.0824 4.6771
```

magnetization: 3.0 μB/f.u.
crystal system: monoclinic
ΔH_f (0 K): -15.48 eV per formula unit
ΔE to the lowest computed polymorph: 1 meV/atom
space-group type: P2/c, No. 13

Here is crystalline Li7Mn2Co3O12 at its relaxed geometry from the Materials Project. Energies are from GGA+U.

Cell and atoms, written as POSCAR:
```
Li7Mn2Co3O12
1.0
5.1771 0.0000 0.0000
0.0000 2.8992 0.0000
-0.1669 0.0000 14.5056
Li Mn Co O
7 2 3 12
Cartesian
0.0000 0.0000 0.0000
-0.0835 0.0000 7.2528
0.8092 1.4496 4.7738
1.7053 0.0000 2.2602
2.5885 1.4496 0.0000
3.3048 0.0000 12.2454
4.2009 1.4496 9.7318
1.5894 0.0000 9.6864
3.4207 0.0000 4.8191
0.6081 1.4496 12.2726
2.5051 1.4496 7.2528
4.4020 1.4496 2.2330
0.0744 0.0000 10.8328
0.7551 1.4496 1.3326
0.8146 1.4496 8.5791
1.5553 0.0000 13.1704
1.8418 0.0000 6.0392
2.3544 1.4496 10.6961
2.6558 1.4496 3.8095
3.1683 0.0000 8.4664
3.4548 0.0000 1.3352
4.1956 1.4496 5.9264
4.2550 1.4496 13.1730
4.9357 0.0000 3.6728
```

magnetization: 6.5 μB/f.u.
crystal system: monoclinic
ΔH_f (0 K): -43.87 eV per formula unit
ΔE to the lowest computed polymorph: 106 meV/atom
space-group type: P2/m, No. 10

Here is crystalline Li7Mn2Co3O12 at its relaxed geometry from the Materials Project. Energies are from GGA+U.

Cell and atoms, written as POSCAR:
```
Li7Mn2Co3O12
1.0
7.4448 -1.4908 0.0000
7.4448 1.4908 0.0000
-2.9425 0.0000 9.6798
Li Mn Co O
7 2 3 12
Cartesian
0.0000 0.0000 0.0000
1.7429 0.0000 2.2953
0.3111 0.0000 7.3893
6.7020 0.0000 2.2689
5.2451 0.0000 7.4110
11.6360 0.0000 2.2905
10.2042 0.0000 7.3845
3.5293 0.0000 4.8905
8.4178 0.0000 4.7893
-1.4713 0.0000 4.8399
5.0564 0.0000 0.0213
6.8907 0.0000 9.6586
0.1061 0.0000 3.7160
-1.2757 0.0000 8.5294
1.8804 0.0000 5.9217
3.4364 0.0000 1.0622
3.4490 0.0000 8.5407
5.1455 0.0000 3.8473
6.8016 0.0000 5.8326
8.4981 0.0000 1.1392
8.5107 0.0000 8.6176
10.0667 0.0000 3.7581
13.2228 0.0000 1.1504
11.8410 0.0000 5.9638
```

magnetization: 6.0 μB/f.u.
crystal system: monoclinic
ΔH_f (0 K): -43.78 eV per formula unit
ΔE to the lowest computed polymorph: 109 meV/atom
space-group type: C2/m, No. 12

Here is crystalline Li2MnCoO4 at its relaxed geometry from the Materials Project. Energies are from GGA+U.

Cell and atoms, written as POSCAR:
```
Li2MnCoO4
1.0
5.3127 -2.8544 0.0000
5.3127 2.8544 0.0000
-2.1283 0.0000 4.9099
Li Mn Co O
4 2 2 8
Cartesian
1.5833 0.0000 2.4133
0.5467 -1.4259 4.8921
6.9137 0.0000 2.4966
7.9503 -1.4259 0.0178
5.3127 0.0019 0.0000
4.2485 -1.4326 2.4550
4.2485 1.4346 2.4550
5.3127 -2.8468 0.0000
-0.3166 0.0130 3.6024
2.5325 1.4471 3.7560
5.9645 1.4471 1.1539
3.4723 -0.0123 1.3400
5.0247 -0.0123 3.5699
2.4580 -1.4432 3.8016
6.0390 -1.4432 1.1083
8.8136 0.0130 1.3075
```

magnetization: 5.0 μB/f.u.
crystal system: monoclinic
ΔH_f (0 K): -14.92 eV per formula unit
ΔE to the lowest computed polymorph: 70 meV/atom
space-group type: C2, No. 5

Here is crystalline Li4MnCo2O7 at its relaxed geometry from the Materials Project. Energies are from GGA+U.

Cell and atoms, written as POSCAR:
```
Li4MnCo2O7
1.0
2.5908 -10.0363 0.0000
2.5908 10.0363 0.0000
-1.9369 0.0000 4.8086
Li Mn Co O
8 2 4 14
Cartesian
2.5908 10.0300 0.0000
1.6224 8.6351 2.4043
1.6224 5.6855 2.4043
1.6224 2.7905 2.4043
1.6224 0.0000 2.4043
1.6224 -2.8628 2.4043
1.6224 -5.8743 2.4043
1.6224 -8.6794 2.4043
2.5908 -1.4751 0.0000
2.5908 -4.3598 0.0000
2.5908 7.1492 0.0000
2.5908 4.2322 0.0000
2.5908 1.3941 0.0000
2.5908 -7.2439 0.0000
0.7288 4.3056 1.1110
-0.0696 2.8862 3.6959
0.8047 1.5070 1.0834
-0.0119 -0.1234 3.6614
0.9060 -1.5785 1.0030
-0.0597 -2.9447 3.6713
0.8832 -4.3507 0.9830
2.5160 4.3056 3.6976
3.3144 2.8862 1.1127
2.4401 1.5070 3.7251
3.2567 -0.1234 1.1472
2.3388 -1.5785 3.8055
3.3046 -2.9447 1.1373
2.3616 -4.3507 3.8256
```

magnetization: 0.0 μB/f.u.
crystal system: monoclinic
ΔH_f (0 K): -24.75 eV per formula unit
ΔE to the lowest computed polymorph: 116 meV/atom
space-group type: C2, No. 5

Here is crystalline Li7Mn2Co3O12 at its relaxed geometry from the Materials Project. Energies are from GGA+U.

Cell and atoms, written as POSCAR:
```
Li7Mn2Co3O12
1.0
5.8025 0.0000 0.0000
-1.4413 6.4091 0.0000
-2.5561 -2.7168 11.5182
Li Mn Co O
14 4 6 24
Cartesian
-1.2934 0.8933 4.7971
0.1496 -0.7044 2.9904
0.0444 4.0758 0.9336
-1.2680 5.0487 5.7621
-1.1318 -0.3775 10.5829
0.2101 -2.0069 8.5683
0.1933 2.8001 6.7211
1.6118 0.8922 4.7971
1.5950 5.6992 2.9499
2.9369 4.0698 0.9353
3.0731 -1.3564 5.7561
1.7607 -0.3834 10.5846
1.6555 4.3968 8.5278
3.0985 2.7990 6.7211
-1.2576 0.2464 7.6214
0.1636 3.4437 3.8960
1.6415 0.2486 7.6222
3.0627 3.4459 3.8968
0.0000 0.0000 0.0000
-2.6539 2.0179 9.5784
1.5635 1.6717 1.9295
2.9013 0.0000 0.0000
0.2416 2.0207 9.5887
4.4590 1.6745 1.9398
-1.2913 3.6445 2.5572
-1.2572 -1.5436 7.2590
-0.0046 1.9986 0.5800
-1.2817 3.0457 5.1142
-2.6076 3.9766 10.2103
0.1914 1.4538 3.3004
-1.2944 2.2333 8.2159
1.5653 -0.2879 1.3314
0.1851 0.6482 6.4049
-1.0828 1.7181 10.9446
0.1632 5.2339 4.2634
0.1937 0.0510 8.9552
1.6113 3.6414 2.5630
1.6419 -1.5416 7.2548
2.8879 1.9742 0.5736
1.6200 3.0441 5.1133
0.2398 3.9802 10.1867
3.0995 1.4591 3.3023
1.6137 2.2385 8.2178
4.4127 -0.2843 1.3079
3.0868 0.6466 6.4040
1.8097 1.6937 10.9382
3.0623 5.2360 4.2592
3.0963 0.0478 8.9610
```

magnetization: 6.0 μB/f.u.
crystal system: triclinic
ΔH_f (0 K): -45.44 eV per formula unit
ΔE to the lowest computed polymorph: 40 meV/atom
space-group type: P-1, No. 2

Here is crystalline Li3MnCoO5 at its relaxed geometry from the Materials Project. Energies are from GGA+U.

Cell and atoms, written as POSCAR:
```
Li3MnCoO5
1.0
4.9250 -1.4463 0.0000
4.9250 1.4463 0.0000
-2.7473 0.0000 12.6533
Li Mn Co O
6 2 2 10
Cartesian
0.0000 0.0000 0.0000
0.7688 0.0000 5.2674
1.8500 0.0000 10.0924
3.5958 0.0000 6.3949
5.3750 0.0000 2.7158
6.2578 0.0000 7.4944
-0.8552 0.0000 8.8152
2.7069 0.0000 1.3345
4.4577 0.0000 11.4060
7.9703 0.0000 4.0936
-1.7045 0.0000 10.7316
-0.0413 0.0000 7.1840
1.9272 0.0000 3.0724
0.7639 0.0000 12.1636
2.8808 0.0000 8.3542
4.3254 0.0000 4.4063
6.4389 0.0000 0.7281
5.2453 0.0000 9.5173
7.1029 0.0000 5.6406
8.8037 0.0000 1.8526
```

magnetization: 6.0 μB/f.u.
crystal system: monoclinic
ΔH_f (0 K): -19.12 eV per formula unit
ΔE to the lowest computed polymorph: 48 meV/atom
space-group type: Cm, No. 8

Here is crystalline Li4MnCo2O7 at its relaxed geometry from the Materials Project. Energies are from GGA+U.

Cell and atoms, written as POSCAR:
```
Li4MnCo2O7
1.0
16.9661 -1.4569 0.0000
16.9661 1.4569 0.0000
-0.3003 0.0000 5.1768
Li Mn Co O
8 2 4 14
Cartesian
0.0000 0.0000 0.0000
4.5859 0.0000 3.6569
9.6595 0.0000 2.2023
14.5702 0.0000 0.6651
16.8344 0.0000 2.5754
18.9958 0.0000 4.4779
24.0904 0.0000 2.9446
29.1539 0.0000 1.4641
21.7618 0.0000 1.0878
26.4167 0.0000 4.7521
2.1464 0.0000 1.9713
7.2793 0.0000 0.3637
12.0442 0.0000 4.0016
31.5316 0.0000 3.2002
1.1626 0.0000 3.4531
3.8250 0.0000 0.2609
5.8217 0.0000 1.9640
8.4131 0.0000 3.9129
10.7699 0.0000 0.3813
13.1497 0.0000 2.5080
15.4291 0.0000 4.1709
18.2590 0.0000 0.9888
20.4848 0.0000 2.5290
22.7549 0.0000 4.7789
25.4673 0.0000 1.1003
27.6703 0.0000 3.2846
29.9301 0.0000 4.9450
32.5329 0.0000 1.7308
```

magnetization: 8.0 μB/f.u.
crystal system: monoclinic
ΔH_f (0 K): -25.52 eV per formula unit
ΔE to the lowest computed polymorph: 61 meV/atom
space-group type: Cm, No. 8